36
Lattice="-0.382 5.603 -0.452 -5.184 0.071 8.447 5.249 -0.001 6.623" Properties=species:S:1:pos:R:3 comment="ZnCoPHO5 PBE with a Hubbard U optimized geometry" total_energy_ev_per_atom=-6.14 pbc="T T T"
O 3.059 3.128 9.102
O 1.864 4.962 3.999
O -0.031 4.328 1.215
O -3.356 5.000 4.910
Co -5.375 2.872 8.221
H -0.793 4.121 1.811
Co 0.033 0.035 7.535
O -4.153 4.258 7.206
P 2.084 3.930 5.172
O -3.857 1.597 8.944
O 1.360 1.557 8.032
Co -0.158 2.836 7.309
P -2.400 1.742 9.446
Zn -3.483 4.511 10.502
O 0.003 4.363 8.749
O -2.180 0.710 10.619
Zn 3.167 1.162 4.116
P 2.817 1.702 8.533
O 3.039 0.672 9.708
Zn 1.736 4.473 9.588
H 0.476 1.551 12.807
O -0.285 1.345 13.403
O 3.836 1.414 7.412
O 1.841 2.505 4.601
O -3.376 2.545 5.516
Co 5.249 -0.001 6.623
H 0.442 1.514 5.273
O -1.676 4.116 6.586
O -2.158 3.167 10.017
H -0.759 4.159 9.345
Zn -2.052 1.199 5.030
O -1.381 1.454 8.324
O 3.541 4.075 5.674
O 1.064 4.218 6.294
P -3.134 3.970 6.085
O -0.319 1.309 5.869

---

62
Lattice="12.581 0.000 0.000 0.000 6.323 0.000 0.000 2.422 8.934" Properties=species:S:1:pos:R:3 comment="Rb2CoH12S2O14 PBE with a Hubbard U optimized geometry" space_group="No. 14" total_energy_ev_per_atom=-5.33 pbc="T T T"
S 10.797 6.072 5.346
H 10.235 6.601 1.341
H 7.470 2.704 2.534
H 11.768 6.408 7.993
H 1.618 6.364 2.170
O 11.729 6.885 8.866
O 1.433 5.677 1.478
O 0.852 1.861 0.067
H 7.908 1.170 2.297
H 10.964 2.381 6.764
O 7.698 1.749 6.017
O 11.661 5.607 6.483
O 11.593 6.003 4.092
H 5.478 3.549 5.407
H 8.637 7.813 5.808
Co 0.000 0.000 0.000
O 7.279 7.214 8.559
O 10.339 7.480 5.598
O 2.970 3.579 3.674
Rb 10.703 3.070 3.309
Rb 8.169 4.281 7.776
O 0.988 2.742 4.842
O 5.370 4.350 6.918
H 11.351 6.505 2.464
O 7.724 1.857 2.989
H 5.112 6.041 6.399
H 8.084 5.572 4.717
H 2.346 2.144 7.593
O 8.534 6.269 1.131
O 5.439 3.072 4.534
S 1.784 2.674 3.588
O 2.243 1.265 3.336
H 10.788 4.361 0.250
H 1.231 2.241 6.470
H 11.403 3.916 7.001
H 1.793 4.385 8.684
H 4.673 7.575 6.637
O 4.048 2.476 7.802
O 9.611 5.166 5.260
O 11.149 3.068 7.456
Rb 1.878 5.676 5.625
O 7.143 5.673 4.399
O 11.174 0.538 1.550
O 4.883 6.996 2.917
H 7.104 5.197 3.526
H 1.179 4.830 1.932
O 4.858 6.888 5.945
O 5.303 1.531 0.375
Rb 4.413 4.464 1.158
O 0.921 3.138 2.451
H 4.497 3.173 4.217
H 5.060 1.029 2.003
O 9.261 3.955 0.793
O 1.408 8.207 7.384
H 3.944 0.933 3.126
S 4.507 3.885 8.055
O 3.320 4.790 8.141
Co 6.291 1.211 4.467
O 7.212 4.396 2.016
S 8.075 4.861 0.879
H 7.522 7.716 6.931
H 0.813 2.337 0.941

---

62
Lattice="-7.585 -8.964 4.920 -1.754 -1.782 -5.952 6.232 -6.585 -2.391" Properties=species:S:1:pos:R:3 comment="Rb2CoH12Se2O14 PBE with a Hubbard U optimized geometry" space_group="No. 14" total_energy_ev_per_atom=-5.10 pbc="T T T"
O -1.334 -3.492 -4.834
Co -0.677 -7.775 1.264
H -1.071 -4.287 -5.371
H -5.255 -8.300 3.649
H -2.036 -13.045 1.947
O 0.894 -4.102 -0.198
Se -5.526 -7.701 -1.444
H -2.911 -8.814 -2.259
Rb 1.616 -6.708 -4.660
H -0.373 -6.941 -1.189
H 0.022 -9.531 -3.747
O -0.029 -5.673 -2.255
O -3.079 -11.659 -1.169
H 4.491 -8.168 -3.519
H 0.136 -9.835 -5.328
Co 0.000 0.000 0.000
O -2.420 -9.564 -2.699
O 0.411 -3.026 -2.700
H -1.144 -10.415 1.807
O 2.608 -8.162 -7.219
Rb -4.723 -10.624 1.236
O -2.628 -7.376 -4.648
Se -4.069 -12.954 -1.563
H -1.764 -5.256 1.005
H -7.599 -9.164 0.095
H -0.631 -3.328 -4.148
H -6.791 -11.539 -1.721
H -1.344 -12.076 -4.429
O -2.747 -8.017 1.217
O -2.183 -16.259 -2.027
O -5.716 -9.170 3.796
O 2.527 -4.685 -2.354
H -3.130 -7.801 0.323
H 3.683 -5.793 -1.703
Rb -2.957 -5.138 -2.519
O -4.001 -13.230 -3.226
O -6.144 -8.306 -0.006
O -3.328 -4.631 0.618
H -0.356 -1.730 -1.887
O 0.221 -12.701 -4.042
O -0.688 -7.768 -0.725
O -3.845 -7.718 -1.337
O -0.479 -9.956 1.225
H -1.964 -6.917 -5.231
O 3.037 -9.026 -3.417
O -5.635 -12.646 -1.070
Se 0.962 -4.378 -1.860
H -2.734 -10.390 -2.235
O -1.773 -13.840 1.410
O -0.360 -9.315 -4.640
O -0.925 -1.073 -1.397
H -3.244 -7.497 1.904
O 0.738 -9.614 -2.087
O -6.040 -8.665 -2.729
H 2.148 -9.032 -7.072
Rb -0.150 -12.194 -0.905
H -2.476 -14.004 0.725
H -2.752 -15.602 -1.537
H -0.197 -8.517 -1.164
O 2.933 -8.667 -0.695
O -3.518 -14.306 -0.723
Se 2.418 -9.631 -1.980